Crystalline ZnFe2N2 at its relaxed geometry. Source: the Materials Project, functional PBE.

Calculated values
Total magnetization, μB per cell: 3.22
Calculated formation energy, meV/atom: 333

a b c (Å): 3.531 3.531 4.911
angles (deg): 90.00 90.00 90.00
Fractional positions:
N  0.000  0.500  0.739
N  0.500  0.000  0.261
Fe  0.500  0.500  0.736
Fe  0.500  0.500  0.264
Zn  0.000  0.000  0.000


Crystalline Zr4Fe2N at its relaxed geometry. Source: the Materials Project, functional PBE.

Calculated values
Total magnetization, μB per cell: 6.00
Calculated formation energy, meV/atom: -667

a b c (Å): 8.631 8.631 8.631
angles (deg): 60.00 60.00 60.00
Fractional positions:
Fe  0.834  0.498  0.834
Fe  0.416  0.752  0.416
Fe  0.416  0.416  0.416
Fe  0.752  0.416  0.416
Fe  0.834  0.834  0.834
Fe  0.416  0.416  0.752
Fe  0.498  0.834  0.834
Fe  0.834  0.834  0.498
Zr  0.185  0.815  0.815
Zr  0.435  0.435  0.065
Zr  0.185  0.185  0.815
Zr  0.125  0.625  0.625
Zr  0.065  0.065  0.435
Zr  0.435  0.065  0.065
Zr  0.625  0.625  0.625
Zr  0.435  0.065  0.435
Zr  0.185  0.815  0.185
Zr  0.065  0.435  0.435
Zr  0.625  0.125  0.625
Zr  0.065  0.435  0.065
Zr  0.625  0.625  0.125
Zr  0.815  0.185  0.185
Zr  0.815  0.185  0.815
Zr  0.815  0.815  0.185
N  0.125  0.125  0.125
N  0.125  0.625  0.125
N  0.125  0.125  0.625
N  0.625  0.125  0.125


Crystalline Na3Fe at its relaxed geometry. Source: the Materials Project, functional PBE.

Calculated values
Total magnetization, μB per cell: 5.99
Calculated formation energy, meV/atom: 671

a b c (Å): 6.933 6.933 5.396
angles (deg): 90.00 90.00 120.00
Fractional positions:
Fe  0.667  0.333  0.250
Fe  0.333  0.667  0.750
Na  0.825  0.651  0.750
Na  0.349  0.175  0.750
Na  0.175  0.349  0.250
Na  0.825  0.175  0.750
Na  0.175  0.825  0.250
Na  0.651  0.825  0.250


Crystalline Na3Fe at its relaxed geometry. Source: the Materials Project, functional PBE.

Calculated values
Total magnetization, μB per cell: 3.10
Calculated formation energy, meV/atom: 687

a b c (Å): 4.790 4.790 4.790
angles (deg): 90.00 90.00 90.00
Fractional positions:
Fe  0.000  0.000  0.000
Na  0.500  0.000  0.500
Na  0.500  0.500  0.000
Na  0.000  0.500  0.500